[1]
# BaMg2In2 | the Materials Project database | PBE | relaxed
data_BaMg2In2
_cell_length_a 7.2155
_cell_length_b 7.2155
_cell_length_c 7.2155
_cell_angle_alpha 140.40
_cell_angle_beta 140.40
_cell_angle_gamma 57.24
_space_group_name_H-M_alt 'P 1'
_space_group_IT_number 1
_space_group_name_Hall 'P 1'
loop_
_atom_site_label
_atom_site_type_symbol
_atom_site_fract_x
_atom_site_fract_y
_atom_site_fract_z
_atom_site_occupancy
In1 In 0.3857 0.3857 0.0000 1
Mg1 Mg 0.2500 0.7500 0.5000 1
Ba1 Ba 0.0000 0.0000 0.0000 1
Mg2 Mg 0.7500 0.2500 0.5000 1
In2 In 0.6143 0.6143 0.0000 1
# Space-group type: I4/mmm, No. 139
# Calculated formation energy (kJ/mol of formula units): -144

***

[2]
# Mg14CrBi | the Materials Project database | PBE | relaxed
data_Mg14CrBi
_cell_length_a 6.3508
_cell_length_b 6.3508
_cell_length_c 10.4183
_cell_angle_alpha 90.00
_cell_angle_beta 90.00
_cell_angle_gamma 120.00
_space_group_name_H-M_alt 'P 1'
_space_group_IT_number 1
_space_group_name_Hall 'P 1'
loop_
_atom_site_label
_atom_site_type_symbol
_atom_site_fract_x
_atom_site_fract_y
_atom_site_fract_z
_atom_site_occupancy
Mg1 Mg 0.6670 0.8330 0.1250 1
Mg2 Mg 0.6670 0.3339 0.1250 1
Cr1 Cr 0.1667 0.3333 0.1250 1
Mg3 Mg 0.3331 0.1669 0.3653 1
Mg4 Mg 0.3331 0.6662 0.3653 1
Mg5 Mg 0.1652 0.8326 0.6250 1
Mg6 Mg 0.6674 0.8326 0.6250 1
Bi1 Bi 0.1667 0.3333 0.6250 1
Mg7 Mg 0.8333 0.6667 0.8762 1
Mg8 Mg 0.1661 0.8330 0.1250 1
Mg9 Mg 0.3331 0.6662 0.8847 1
Mg10 Mg 0.8338 0.1669 0.3653 1
Mg11 Mg 0.8338 0.1669 0.8847 1
Mg12 Mg 0.8333 0.6667 0.3738 1
Mg13 Mg 0.3331 0.1669 0.8847 1
Mg14 Mg 0.6674 0.3348 0.6250 1
# Magnetic moment (Bohr magnetons per cell): 4.2
# Space-group type: P-6m2, No. 187
# Calculated formation energy (kJ/mol of formula units): 88
# Energy above the most stable polymorph in this dataset (meV per atom): 9

***

[3]
# CeCuSi2Ni | the Materials Project database | PBE | relaxed
data_CeCuSi2Ni
_cell_length_a 5.6210
_cell_length_b 5.6210
_cell_length_c 5.6210
_cell_angle_alpha 137.76
_cell_angle_beta 137.76
_cell_angle_gamma 61.27
_space_group_name_H-M_alt 'P 1'
_space_group_IT_number 1
_space_group_name_Hall 'P 1'
loop_
_atom_site_label
_atom_site_type_symbol
_atom_site_fract_x
_atom_site_fract_y
_atom_site_fract_z
_atom_site_occupancy
Ni1 Ni 0.7500 0.2500 0.5000 1
Si1 Si 0.6242 0.6242 0.0000 1
Si2 Si 0.3758 0.3758 0.0000 1
Cu1 Cu 0.2500 0.7500 0.5000 1
Ce1 Ce 0.0000 0.0000 0.0000 1
# Magnetic moment (Bohr magnetons per cell): 0.0
# Space-group type: I-4m2, No. 119
# Calculated formation energy (kJ/mol of formula units): -334